# 1
The following is a DFT calculation (GGA+U) of LiCoSiO4 after structural relaxation.

Calculated values
- space group = Pca2_1, No. 29
- total magnetization (μB per cell) = 32.0
- final energy (eV for the cell shown) = -369.19

Cell and atoms, written as CIF:
```
data_LiCoSiO4
_cell_length_a 5.092
_cell_length_b 10.214
_cell_length_c 13.384
_cell_angle_alpha 90.00
_cell_angle_beta 90.00
_cell_angle_gamma 90.00
_space_group_name_H-M_alt 'P 1'
_space_group_IT_number 1
loop_
_space_group_symop_operation_xyz
'x,y,z'
loop_
_atom_site_label
_atom_site_type_symbol
_atom_site_fract_x
_atom_site_fract_y
_atom_site_fract_z
Li1 Li 0.914 0.034 0.497
Li2 Li 0.557 0.215 0.250
Li3 Li 0.557 0.285 0.750
Li4 Li 0.914 0.466 0.997
Li5 Li 0.086 0.534 0.497
Li6 Li 0.443 0.715 0.250
Li7 Li 0.443 0.785 0.750
Li8 Li 0.086 0.966 0.997
Co1 Co 0.067 0.039 0.247
Co2 Co 0.556 0.214 0.000
Co3 Co 0.556 0.286 0.500
Co4 Co 0.067 0.461 0.747
Co5 Co 0.933 0.539 0.247
Co6 Co 0.444 0.714 0.000
Co7 Co 0.444 0.786 0.500
Co8 Co 0.933 0.961 0.747
Si1 Si 0.432 0.034 0.625
Si2 Si 0.054 0.214 0.871
Si3 Si 0.054 0.286 0.371
Si4 Si 0.432 0.466 0.125
Si5 Si 0.568 0.534 0.625
Si6 Si 0.946 0.714 0.871
Si7 Si 0.946 0.786 0.371
Si8 Si 0.568 0.966 0.125
O1 O 0.887 0.994 0.130
O2 O 0.551 0.959 0.526
O3 O 0.429 0.032 0.224
O4 O 0.995 0.056 0.864
O5 O 0.497 0.191 0.618
O6 O 0.897 0.229 0.470
O7 O 0.944 0.290 0.771
O8 O 0.370 0.244 0.881
O9 O 0.370 0.256 0.381
O10 O 0.944 0.210 0.271
O11 O 0.897 0.271 0.970
O12 O 0.497 0.309 0.118
O13 O 0.995 0.444 0.364
O14 O 0.429 0.468 0.724
O15 O 0.551 0.541 0.026
O16 O 0.887 0.506 0.630
O17 O 0.113 0.494 0.130
O18 O 0.449 0.459 0.526
O19 O 0.571 0.532 0.224
O20 O 0.005 0.556 0.864
O21 O 0.503 0.691 0.618
O22 O 0.103 0.729 0.470
O23 O 0.056 0.790 0.771
O24 O 0.630 0.744 0.881
O25 O 0.630 0.756 0.381
O26 O 0.056 0.710 0.271
O27 O 0.103 0.771 0.970
O28 O 0.503 0.809 0.118
O29 O 0.005 0.944 0.364
O30 O 0.571 0.968 0.724
O31 O 0.449 0.041 0.026
O32 O 0.113 0.006 0.630
```

=====

# 2
The following is a DFT calculation (GGA+U) of Li2Co2Si3O9 after structural relaxation.

Calculated values
- space group = Pnma, No. 62
- total magnetization (μB per cell) = 24.0
- final energy (eV for the cell shown) = -441.78

Cell and atoms, written as CIF:
```
data_Li2Co2Si3O9
_cell_length_a 7.120
_cell_length_b 10.076
_cell_length_c 12.539
_cell_angle_alpha 90.00
_cell_angle_beta 90.00
_cell_angle_gamma 90.00
_space_group_name_H-M_alt 'P 1'
_space_group_IT_number 1
loop_
_space_group_symop_operation_xyz
'x,y,z'
loop_
_atom_site_label
_atom_site_type_symbol
_atom_site_fract_x
_atom_site_fract_y
_atom_site_fract_z
Li1 Li 0.563 0.515 0.160
Li2 Li 0.563 0.985 0.160
Li3 Li 0.063 0.015 0.340
Li4 Li 0.063 0.485 0.340
Li5 Li 0.937 0.515 0.660
Li6 Li 0.937 0.985 0.660
Li7 Li 0.437 0.015 0.840
Li8 Li 0.437 0.485 0.840
Co1 Co 0.116 0.565 0.088
Co2 Co 0.116 0.935 0.088
Co3 Co 0.616 0.065 0.412
Co4 Co 0.616 0.435 0.412
Co5 Co 0.384 0.565 0.588
Co6 Co 0.384 0.935 0.588
Co7 Co 0.884 0.065 0.912
Co8 Co 0.884 0.435 0.912
Si1 Si 0.457 0.750 0.027
Si2 Si 0.144 0.250 0.060
Si3 Si 0.469 0.250 0.215
Si4 Si 0.969 0.750 0.285
Si5 Si 0.644 0.750 0.440
Si6 Si 0.957 0.250 0.473
Si7 Si 0.043 0.750 0.527
Si8 Si 0.356 0.250 0.560
Si9 Si 0.031 0.250 0.715
Si10 Si 0.531 0.750 0.785
Si11 Si 0.856 0.750 0.940
Si12 Si 0.543 0.250 0.973
O1 O 0.690 0.750 0.034
O2 O 0.020 0.116 0.046
O3 O 0.020 0.384 0.046
O4 O 0.382 0.613 0.082
O5 O 0.382 0.887 0.082
O6 O 0.593 0.250 0.102
O7 O 0.014 0.610 0.226
O8 O 0.014 0.890 0.226
O9 O 0.244 0.250 0.179
O10 O 0.744 0.750 0.321
O11 O 0.514 0.110 0.274
O12 O 0.514 0.390 0.274
O13 O 0.093 0.750 0.398
O14 O 0.882 0.113 0.418
O15 O 0.882 0.387 0.418
O16 O 0.520 0.616 0.454
O17 O 0.520 0.884 0.454
O18 O 0.190 0.250 0.466
O19 O 0.810 0.750 0.534
O20 O 0.480 0.116 0.546
O21 O 0.480 0.384 0.546
O22 O 0.118 0.613 0.582
O23 O 0.118 0.887 0.582
O24 O 0.907 0.250 0.602
O25 O 0.486 0.610 0.726
O26 O 0.486 0.890 0.726
O27 O 0.256 0.250 0.679
O28 O 0.756 0.750 0.821
O29 O 0.986 0.110 0.774
O30 O 0.986 0.390 0.774
O31 O 0.407 0.750 0.898
O32 O 0.618 0.113 0.918
O33 O 0.618 0.387 0.918
O34 O 0.980 0.616 0.954
O35 O 0.980 0.884 0.954
O36 O 0.310 0.250 0.966
```

=====

# 3
The following is a DFT calculation (GGA+U) of LiCoSiO4 after structural relaxation.

Calculated values
- space group = P6_422, No. 181
- total magnetization (μB per cell) = 1.8
- final energy (eV for the cell shown) = -537.15

Cell and atoms, written as CIF:
```
data_LiCoSiO4
_cell_length_a 10.676
_cell_length_b 10.676
_cell_length_c 12.009
_cell_angle_alpha 90.00
_cell_angle_beta 90.00
_cell_angle_gamma 120.00
_space_group_name_H-M_alt 'P 1'
_space_group_IT_number 1
loop_
_space_group_symop_operation_xyz
'x,y,z'
loop_
_atom_site_label
_atom_site_type_symbol
_atom_site_fract_x
_atom_site_fract_y
_atom_site_fract_z
Li1 Li 0.000 0.500 0.009
Li2 Li 0.000 0.500 0.658
Li3 Li 0.000 0.500 0.333
Li4 Li 0.000 0.000 0.167
Li5 Li 0.000 0.000 0.500
Li6 Li 0.000 0.000 0.833
Li7 Li 0.500 0.500 0.342
Li8 Li 0.500 0.500 0.667
Li9 Li 0.500 0.500 0.991
Li10 Li 0.500 0.000 0.324
Li11 Li 0.500 0.000 0.000
Li12 Li 0.500 0.000 0.676
Co1 Co 0.000 0.747 0.833
Co2 Co 0.000 0.253 0.833
Co3 Co 0.250 0.750 0.167
Co4 Co 0.250 0.501 0.500
Co5 Co 0.499 0.750 0.833
Co6 Co 0.253 0.253 0.167
Co7 Co 0.253 0.000 0.500
Co8 Co 0.747 0.747 0.167
Co9 Co 0.501 0.250 0.833
Co10 Co 0.750 0.499 0.500
Co11 Co 0.750 0.250 0.167
Co12 Co 0.747 0.000 0.500
Si1 Si 0.000 0.754 0.333
Si2 Si 0.248 0.752 0.667
Si3 Si 0.000 0.246 0.333
Si4 Si 0.248 0.496 0.000
Si5 Si 0.246 0.246 0.667
Si6 Si 0.504 0.752 0.333
Si7 Si 0.246 0.000 0.000
Si8 Si 0.496 0.248 0.333
Si9 Si 0.754 0.754 0.667
Si10 Si 0.752 0.504 0.000
Si11 Si 0.752 0.248 0.667
Si12 Si 0.754 0.000 0.000
O1 O 0.079 0.887 0.423
O2 O 0.113 0.921 0.910
O3 O 0.095 0.694 0.735
O4 O 0.106 0.705 0.269
O5 O 0.295 0.894 0.064
O6 O 0.306 0.905 0.599
O7 O 0.197 0.610 0.586
O8 O 0.095 0.401 0.932
O9 O 0.197 0.587 0.080
O10 O 0.106 0.400 0.398
O11 O 0.079 0.192 0.244
O12 O 0.390 0.803 0.747
O13 O 0.413 0.803 0.253
O14 O 0.113 0.192 0.756
O15 O 0.295 0.400 0.602
O16 O 0.390 0.587 0.920
O17 O 0.306 0.401 0.068
O18 O 0.413 0.610 0.414
O19 O 0.192 0.113 0.577
O20 O 0.192 0.079 0.090
O21 O 0.599 0.905 0.401
O22 O 0.600 0.894 0.936
O23 O 0.600 0.705 0.731
O24 O 0.401 0.306 0.265
O25 O 0.599 0.694 0.265
O26 O 0.400 0.295 0.731
O27 O 0.400 0.106 0.936
O28 O 0.401 0.095 0.401
O29 O 0.808 0.921 0.090
O30 O 0.808 0.887 0.577
O31 O 0.587 0.390 0.414
O32 O 0.694 0.599 0.068
O33 O 0.610 0.413 0.920
O34 O 0.705 0.600 0.602
O35 O 0.887 0.808 0.756
O36 O 0.587 0.197 0.253
O37 O 0.610 0.197 0.747
O38 O 0.921 0.808 0.244
O39 O 0.894 0.600 0.398
O40 O 0.803 0.413 0.080
O41 O 0.905 0.599 0.932
O42 O 0.803 0.390 0.586
O43 O 0.694 0.095 0.599
O44 O 0.705 0.106 0.064
O45 O 0.894 0.295 0.269
O46 O 0.905 0.306 0.735
O47 O 0.887 0.079 0.910
O48 O 0.921 0.113 0.423
```

=====

# 4
The following is a DFT calculation (GGA+U) of LiCoSiO4 after structural relaxation.

Calculated values
- total magnetization (μB per cell) = 0.0
- final energy (eV for the cell shown) = -184.22

Cell and atoms, written as CIF:
```
data_LiCoSiO4
_cell_length_a 5.503
_cell_length_b 6.263
_cell_length_c 8.096
_cell_angle_alpha 90.00
_cell_angle_beta 90.00
_cell_angle_gamma 90.00
_space_group_name_H-M_alt 'P 1'
_space_group_IT_number 1
loop_
_space_group_symop_operation_xyz
'x,y,z'
loop_
_atom_site_label
_atom_site_type_symbol
_atom_site_fract_x
_atom_site_fract_y
_atom_site_fract_z
Li1 Li 0.000 0.750 0.327
Li2 Li 0.500 0.750 0.827
Li3 Li 0.000 0.250 0.673
Li4 Li 0.500 0.250 0.173
Co1 Co 0.500 0.000 0.500
Co2 Co 0.500 0.500 0.500
Co3 Co 0.000 0.000 0.000
Co4 Co 0.000 0.500 0.000
Si1 Si 0.000 0.250 0.348
Si2 Si 0.500 0.250 0.848
Si3 Si 0.000 0.750 0.652
Si4 Si 0.500 0.750 0.152
O1 O 0.240 0.750 0.528
O2 O 0.740 0.750 0.028
O3 O 0.240 0.250 0.472
O4 O 0.740 0.250 0.972
O5 O 0.760 0.250 0.472
O6 O 0.260 0.250 0.972
O7 O 0.760 0.750 0.528
O8 O 0.260 0.750 0.028
O9 O 0.000 0.037 0.231
O10 O 0.500 0.037 0.731
O11 O 0.000 0.463 0.231
O12 O 0.500 0.463 0.731
O13 O 0.000 0.537 0.769
O14 O 0.500 0.537 0.269
O15 O 0.000 0.963 0.769
O16 O 0.500 0.963 0.269
```

=====

# 5
The following is a DFT calculation (GGA+U) of LiCoSiO4 after structural relaxation.

Calculated values
- space group = Imma, No. 74
- total magnetization (μB per cell) = 0.0
- final energy (eV for the cell shown) = -91.33

Cell and atoms, written as CIF:
```
data_LiCoSiO4
_cell_length_a 5.611
_cell_length_b 5.611
_cell_length_c 5.611
_cell_angle_alpha 120.40
_cell_angle_beta 117.87
_cell_angle_gamma 91.52
_space_group_name_H-M_alt 'P 1'
_space_group_IT_number 1
loop_
_space_group_symop_operation_xyz
'x,y,z'
loop_
_atom_site_label
_atom_site_type_symbol
_atom_site_fract_x
_atom_site_fract_y
_atom_site_fract_z
Li1 Li 0.000 0.500 0.000
Li2 Li 0.000 0.000 0.500
Co1 Co 0.000 0.000 0.000
Co2 Co 0.500 0.000 0.500
Si1 Si 0.391 0.641 0.750
Si2 Si 0.609 0.359 0.250
O1 O 0.261 0.269 0.509
O2 O 0.739 0.248 0.009
O3 O 0.266 0.756 0.510
O4 O 0.745 0.756 0.990
O5 O 0.261 0.752 0.991
O6 O 0.739 0.731 0.491
O7 O 0.734 0.244 0.490
O8 O 0.255 0.244 0.010
```

=====

# 6
The following is a DFT calculation (GGA+U) of LiCoSiO4 after structural relaxation.

Calculated values
- space group = P6_1, No. 169
- total magnetization (μB per cell) = 96.0
- final energy (eV for the cell shown) = -1101.14

Cell and atoms, written as CIF:
```
data_LiCoSiO4
_cell_length_a 9.885
_cell_length_b 9.885
_cell_length_c 24.168
_cell_angle_alpha 90.00
_cell_angle_beta 90.00
_cell_angle_gamma 120.00
_space_group_name_H-M_alt 'P 1'
_space_group_IT_number 1
loop_
_space_group_symop_operation_xyz
'x,y,z'
loop_
_atom_site_label
_atom_site_type_symbol
_atom_site_fract_x
_atom_site_fract_y
_atom_site_fract_z
Li1 Li 0.023 0.974 0.695
Li2 Li 0.035 0.584 0.035
Li3 Li 0.059 0.456 0.192
Li4 Li 0.052 0.475 0.848
Li5 Li 0.397 0.941 0.859
Li6 Li 0.423 0.948 0.514
Li7 Li 0.026 0.049 0.029
Li8 Li 0.049 0.023 0.862
Li9 Li 0.549 0.965 0.702
Li10 Li 0.416 0.451 0.369
Li11 Li 0.525 0.577 0.181
Li12 Li 0.544 0.603 0.525
Li13 Li 0.456 0.397 0.025
Li14 Li 0.475 0.423 0.681
Li15 Li 0.584 0.549 0.869
Li16 Li 0.451 0.035 0.202
Li17 Li 0.951 0.977 0.362
Li18 Li 0.974 0.951 0.529
Li19 Li 0.577 0.052 0.014
Li20 Li 0.603 0.059 0.359
Li21 Li 0.948 0.525 0.348
Li22 Li 0.941 0.544 0.692
Li23 Li 0.965 0.416 0.535
Li24 Li 0.977 0.026 0.195
Co1 Co 0.098 0.820 0.271
Co2 Co 0.081 0.752 0.917
Co3 Co 0.116 0.743 0.593
Co4 Co 0.305 0.666 0.755
Co5 Co 0.334 0.639 0.088
Co6 Co 0.361 0.695 0.421
Co7 Co 0.180 0.278 0.604
Co8 Co 0.257 0.374 0.926
Co9 Co 0.248 0.329 0.250
Co10 Co 0.626 0.884 0.260
Co11 Co 0.671 0.919 0.583
Co12 Co 0.278 0.098 0.438
Co13 Co 0.722 0.902 0.938
Co14 Co 0.329 0.081 0.083
Co15 Co 0.374 0.116 0.760
Co16 Co 0.752 0.671 0.750
Co17 Co 0.743 0.626 0.426
Co18 Co 0.820 0.722 0.104
Co19 Co 0.639 0.305 0.921
Co20 Co 0.666 0.361 0.588
Co21 Co 0.695 0.334 0.255
Co22 Co 0.884 0.257 0.093
Co23 Co 0.919 0.248 0.417
Co24 Co 0.902 0.180 0.771
Si1 Si 0.086 0.784 0.788
Si2 Si 0.075 0.750 0.467
Si3 Si 0.136 0.771 0.142
Si4 Si 0.278 0.645 0.297
Si5 Si 0.366 0.722 0.963
Si6 Si 0.355 0.634 0.630
Si7 Si 0.229 0.365 0.475
Si8 Si 0.216 0.302 0.122
Si9 Si 0.250 0.325 0.800
Si10 Si 0.635 0.864 0.808
Si11 Si 0.675 0.925 0.133
Si12 Si 0.698 0.914 0.455
Si13 Si 0.302 0.086 0.955
Si14 Si 0.325 0.075 0.633
Si15 Si 0.365 0.136 0.308
Si16 Si 0.750 0.675 0.300
Si17 Si 0.784 0.698 0.622
Si18 Si 0.771 0.635 0.975
Si19 Si 0.645 0.366 0.130
Si20 Si 0.634 0.278 0.463
Si21 Si 0.722 0.355 0.797
Si22 Si 0.864 0.229 0.642
Si23 Si 0.925 0.250 0.967
Si24 Si 0.914 0.216 0.288
O1 O 0.023 0.762 0.090
O2 O 0.099 0.928 0.471
O3 O 0.020 0.677 0.845
O4 O 0.134 0.963 0.926
O5 O 0.039 0.750 0.199
O6 O 0.010 0.661 0.526
O7 O 0.237 0.953 0.807
O8 O 0.129 0.672 0.306
O9 O 0.125 0.680 0.745
O10 O 0.296 0.945 0.585
O11 O 0.302 0.940 0.138
O12 O 0.175 0.628 0.135
O13 O 0.249 0.771 0.457
O14 O 0.188 0.609 0.608
O15 O 0.060 0.362 0.472
O16 O 0.277 0.768 0.916
O17 O 0.055 0.351 0.918
O18 O 0.047 0.284 0.140
O19 O 0.037 0.171 0.259
O20 O 0.072 0.171 0.805
O21 O 0.266 0.676 0.021
O22 O 0.232 0.509 0.249
O23 O 0.324 0.590 0.355
O24 O 0.229 0.478 0.790
O25 O 0.410 0.734 0.688
O26 O 0.421 0.812 0.275
O27 O 0.453 0.825 0.802
O28 O 0.320 0.444 0.078
O29 O 0.328 0.457 0.640
O30 O 0.372 0.547 0.468
O31 O 0.250 0.289 0.532
O32 O 0.391 0.579 0.942
O33 O 0.491 0.723 0.583
O34 O 0.543 0.871 0.973
O35 O 0.556 0.875 0.411
O36 O 0.171 0.134 0.093
O37 O 0.238 0.261 0.423
O38 O 0.323 0.344 0.178
O39 O 0.171 0.099 0.638
O40 O 0.339 0.348 0.860
O41 O 0.522 0.751 0.124
O42 O 0.284 0.237 0.973
O43 O 0.652 0.990 0.193
O44 O 0.351 0.296 0.752
O45 O 0.362 0.302 0.305
O46 O 0.656 0.980 0.512
O47 O 0.711 0.961 0.865
O48 O 0.261 0.023 0.256
O49 O 0.739 0.977 0.756
O50 O 0.289 0.039 0.365
O51 O 0.344 0.020 0.012
O52 O 0.638 0.698 0.805
O53 O 0.649 0.704 0.252
O54 O 0.348 0.010 0.693
O55 O 0.716 0.763 0.473
O56 O 0.478 0.249 0.624
O57 O 0.661 0.652 0.360
O58 O 0.829 0.901 0.138
O59 O 0.677 0.656 0.678
O60 O 0.762 0.739 0.923
O61 O 0.829 0.866 0.593
O62 O 0.444 0.125 0.911
O63 O 0.457 0.129 0.473
O64 O 0.509 0.277 0.083
O65 O 0.609 0.421 0.442
O66 O 0.750 0.711 0.032
O67 O 0.628 0.453 0.968
O68 O 0.672 0.543 0.140
O69 O 0.680 0.556 0.578
O70 O 0.547 0.175 0.302
O71 O 0.579 0.188 0.775
O72 O 0.590 0.266 0.188
O73 O 0.771 0.522 0.290
O74 O 0.676 0.410 0.855
O75 O 0.768 0.491 0.749
O76 O 0.734 0.324 0.521
O77 O 0.928 0.829 0.305
O78 O 0.963 0.829 0.759
O79 O 0.953 0.716 0.640
O80 O 0.945 0.649 0.418
O81 O 0.723 0.232 0.416
O82 O 0.940 0.638 0.972
O83 O 0.812 0.391 0.108
O84 O 0.751 0.229 0.957
O85 O 0.825 0.372 0.635
O86 O 0.698 0.060 0.638
O87 O 0.704 0.055 0.085
O88 O 0.875 0.320 0.245
O89 O 0.871 0.328 0.806
O90 O 0.763 0.047 0.307
O91 O 0.990 0.339 0.026
O92 O 0.961 0.250 0.699
O93 O 0.866 0.037 0.426
O94 O 0.980 0.323 0.345
O95 O 0.901 0.072 0.971
O96 O 0.977 0.238 0.590
```

=====

Please write out number 5 again, unchanged.
The following is a DFT calculation (GGA+U) of LiCoSiO4 after structural relaxation.

Calculated values
- space group = Imma, No. 74
- total magnetization (μB per cell) = 0.0
- final energy (eV for the cell shown) = -91.33

Cell and atoms, written as CIF:
```
data_LiCoSiO4
_cell_length_a 5.611
_cell_length_b 5.611
_cell_length_c 5.611
_cell_angle_alpha 120.40
_cell_angle_beta 117.87
_cell_angle_gamma 91.52
_space_group_name_H-M_alt 'P 1'
_space_group_IT_number 1
loop_
_space_group_symop_operation_xyz
'x,y,z'
loop_
_atom_site_label
_atom_site_type_symbol
_atom_site_fract_x
_atom_site_fract_y
_atom_site_fract_z
Li1 Li 0.000 0.500 0.000
Li2 Li 0.000 0.000 0.500
Co1 Co 0.000 0.000 0.000
Co2 Co 0.500 0.000 0.500
Si1 Si 0.391 0.641 0.750
Si2 Si 0.609 0.359 0.250
O1 O 0.261 0.269 0.509
O2 O 0.739 0.248 0.009
O3 O 0.266 0.756 0.510
O4 O 0.745 0.756 0.990
O5 O 0.261 0.752 0.991
O6 O 0.739 0.731 0.491
O7 O 0.734 0.244 0.490
O8 O 0.255 0.244 0.010
```